1.
Material: MnB2H8
Method: DFT, GGA-PBE
State: relaxed

Properties
M_tot = 5.00 μB per formula unit

Cell: 8.2181 8.2181 8.2181 Å, 124.97 124.97 81.59°
Closest atoms and distances in Å follow each position.
Fractional positions:
H  0.2565  0.4980  0.9996  1 B 1.23
H  0.2516  0.9931  0.4996  1 B 1.23
H  0.2127  0.3830  0.6849  1 B 1.23
H  0.0069  0.5065  0.2584  1 B 1.23
H  0.2480  0.7484  0.7416  1 B 1.23
H  0.5519  0.3670  0.3297  1 B 1.23
H  0.5069  0.2484  0.5004  1 B 1.23
H  0.2778  0.4627  0.3297  1 B 1.23
H  0.7431  0.7435  0.2416  1 B 1.23
H  0.1170  0.2873  0.3151  1 B 1.23
H  0.0519  0.7222  0.1849  1 B 1.23
H  0.9722  0.8019  0.6849  1 B 1.23
H  0.2431  0.0016  0.9996  1 B 1.23
H  0.6170  0.3019  0.8297  1 B 1.23
H  0.1330  0.9481  0.6703  1 B 1.23
H  0.7778  0.4481  0.8151  1 B 1.23
H  0.0373  0.2222  0.6703  1 B 1.23
H  0.4722  0.7873  0.1703  1 B 1.23
H  0.7516  0.2520  0.2584  1 B 1.23
H  0.7565  0.7569  0.7584  1 B 1.23
H  0.5373  0.8670  0.8151  1 B 1.23
H  0.4984  0.2569  0.0004  1 B 1.23
H  0.6981  0.5278  0.3151  1 B 1.23
H  0.0020  0.2435  0.0004  1 B 1.23
H  0.6330  0.9627  0.1849  1 B 1.23
H  0.4935  0.7520  0.5004  1 B 1.23
H  0.9935  0.4931  0.7416  1 B 1.23
H  0.7127  0.0278  0.8297  1 B 1.23
H  0.5020  0.5016  0.7584  1 B 1.23
H  0.7480  0.0065  0.4996  1 B 1.23
H  0.9984  0.9980  0.2416  1 B 1.23
H  0.1981  0.8830  0.1703  1 B 1.23
B  0.6250  0.8526  0.7276  4 H 1.23
B  0.6474  0.8750  0.2724  4 H 1.23
B  0.1250  0.8974  0.2724  4 H 1.23
B  0.1250  0.3974  0.7724  4 H 1.23
B  0.1474  0.8750  0.7724  4 H 1.23
B  0.6250  0.3526  0.2276  4 H 1.23
B  0.1026  0.3750  0.2276  4 H 1.23
B  0.6026  0.3750  0.7276  4 H 1.23
Mn  0.0000  0.5000  0.5000  8 H 2.05-2.10
Mn  0.7500  0.7500  0.0000  8 H 2.05-2.10
Mn  0.5000  0.0000  0.5000  8 H 2.05-2.10
Mn  0.2500  0.2500  0.0000  8 H 2.05-2.10

=====

2.
Material: Na2LiLuCl6
Method: DFT, GGA-PBE
State: relaxed

Properties
M_tot = 0.00 μB per formula unit

Cell: 7.1783 7.1783 7.1783 Å, 60.00 60.00 60.00°
Closest atoms and distances in Å follow each position.
Fractional positions:
Cl  0.7480  0.2520  0.7480  1 Li 2.52, 1 Lu 2.56
Cl  0.2520  0.2520  0.7480  1 Li 2.52, 1 Lu 2.56
Cl  0.7480  0.7480  0.2520  1 Li 2.52, 1 Lu 2.56
Cl  0.2520  0.7480  0.7480  1 Li 2.52, 1 Lu 2.56
Cl  0.7480  0.2520  0.2520  1 Li 2.52, 1 Lu 2.56
Cl  0.2520  0.7480  0.2520  1 Li 2.52, 1 Lu 2.56
Na  0.7500  0.7500  0.7500  12 Cl 3.59
Na  0.2500  0.2500  0.2500  12 Cl 3.59
Lu  0.0000  0.0000  0.0000  6 Cl 2.56
Li  0.5000  0.5000  0.5000  6 Cl 2.52

=====

3.
Material: Sc6CdTe2
Method: DFT, GGA-PBE
State: relaxed

Properties
M_tot = 0.00 μB per formula unit

Cell: 3.9316 20.4921 10.8939 Å, 90.00 90.00 90.00°
Closest atoms and distances in Å follow each position.
Fractional positions:
Sc  0.7500  0.2309  0.2401  4 Te 2.96-3.18, 2 Sc 3.31
Sc  0.2500  0.3628  0.0591  4 Te 2.99-3.03, 2 Sc 3.27
Sc  0.2500  0.6090  0.1753  2 Cd 2.93, 1 Te 2.95, 4 Sc 3.16-3.27
Sc  0.2500  0.5063  0.8923  1 Te 2.98, 4 Sc 3.07-3.16, 1 Cd 3.29
Sc  0.7500  0.3910  0.8247  2 Cd 2.93, 1 Te 2.95, 4 Sc 3.16-3.27
Sc  0.7500  0.5305  0.6291  3 Cd 2.96-3.02, 2 Te 3.00
Sc  0.2500  0.8628  0.4409  4 Te 2.99-3.03, 2 Sc 3.27
Sc  0.7500  0.1372  0.5591  4 Te 2.99-3.03, 2 Sc 3.27
Sc  0.7500  0.0305  0.8709  3 Cd 2.96-3.02, 2 Te 3.00
Sc  0.7500  0.8910  0.6753  2 Cd 2.93, 1 Te 2.95, 4 Sc 3.16-3.27
Sc  0.2500  0.1639  0.0232  2 Cd 2.91, 3 Te 2.93-2.95
Sc  0.2500  0.0063  0.6077  1 Te 2.98, 4 Sc 3.07-3.16, 1 Cd 3.29
Sc  0.2500  0.1090  0.3247  2 Cd 2.93, 1 Te 2.95, 4 Sc 3.16-3.27
Sc  0.7500  0.9937  0.3923  1 Te 2.98, 4 Sc 3.07-3.16, 1 Cd 3.29
Sc  0.7500  0.3361  0.5232  2 Cd 2.91, 3 Te 2.93-2.95
Sc  0.7500  0.7309  0.2599  4 Te 2.96-3.18, 2 Sc 3.31
Sc  0.7500  0.8361  0.9768  2 Cd 2.91, 3 Te 2.93-2.95
Sc  0.2500  0.4695  0.3709  3 Cd 2.96-3.02, 2 Te 3.00
Sc  0.7500  0.4937  0.1077  1 Te 2.98, 4 Sc 3.07-3.16, 1 Cd 3.29
Sc  0.2500  0.6639  0.4768  2 Cd 2.91, 3 Te 2.93-2.95
Sc  0.2500  0.2691  0.7401  4 Te 2.96-3.18, 2 Sc 3.31
Sc  0.2500  0.9695  0.1291  3 Cd 2.96-3.02, 2 Te 3.00
Sc  0.2500  0.7691  0.7599  4 Te 2.96-3.18, 2 Sc 3.31
Sc  0.7500  0.6372  0.9409  4 Te 2.99-3.03, 2 Sc 3.27
Te  0.2500  0.7351  0.0450  8 Sc 2.95-3.18
Te  0.7500  0.7649  0.5450  8 Sc 2.95-3.18
Te  0.7500  0.2649  0.9550  8 Sc 2.95-3.18
Te  0.7500  0.8747  0.2353  7 Sc 2.93-3.00
Te  0.7500  0.3747  0.2647  7 Sc 2.93-3.00
Te  0.2500  0.6253  0.7353  7 Sc 2.93-3.00
Te  0.2500  0.2351  0.4550  8 Sc 2.95-3.18
Te  0.2500  0.1253  0.7647  7 Sc 2.93-3.00
Cd  0.7500  0.0773  0.1341  7 Sc 2.91-3.02
Cd  0.2500  0.9227  0.8659  7 Sc 2.91-3.02
Cd  0.2500  0.4227  0.6341  7 Sc 2.91-3.02
Cd  0.7500  0.5773  0.3659  7 Sc 2.91-3.02

=====

4.
Material: CeBiAu2
Method: DFT, GGA-PBE
State: relaxed

Cell: 5.1602 5.1602 5.1602 Å, 60.00 60.00 60.00°
Closest atoms and distances in Å follow each position.
Fractional positions:
Au  0.7500  0.7500  0.7500  4 Ce 3.16, 4 Bi 3.16
Au  0.2500  0.2500  0.2500  4 Bi 3.16, 4 Ce 3.16
Ce  0.0000  0.0000  0.0000  8 Au 3.16
Bi  0.5000  0.5000  0.5000  8 Au 3.16

=====

5.
Material: K5U2O4F9
Method: DFT, GGA-PBE
State: relaxed

Properties
M_tot = 0.00 μB per formula unit

Cell: 6.4360 10.9588 13.2307 Å, 102.05 90.00 107.08°
Closest atoms and distances in Å follow each position.
Fractional positions:
K  0.0000  0.5000  0.5000  4 F 2.46-2.51
K  0.7262  0.9170  0.9349  2 O 2.63-2.88, 3 F 2.68-2.83
K  0.5043  0.4329  0.6217  2 F 2.52-2.71
K  0.0714  0.5671  0.8783  2 F 2.52-2.71
K  0.8092  0.0830  0.5651  2 O 2.63-2.88, 3 F 2.68-2.83
K  0.1908  0.9170  0.4349  2 O 2.63-2.88, 3 F 2.68-2.83
K  0.9286  0.4329  0.1217  2 F 2.52-2.71
K  0.2738  0.0830  0.0651  2 O 2.63-2.88, 3 F 2.68-2.83
K  0.4957  0.5671  0.3783  2 F 2.52-2.71
K  0.5000  0.5000  0.0000  4 F 2.46-2.51
O  0.0150  0.7686  0.5870  1 U 1.85
O  0.4232  0.7814  0.7875  1 U 1.84
O  0.6418  0.2186  0.7125  1 U 1.84
O  0.7536  0.7686  0.0870  1 U 1.85
O  0.5768  0.2186  0.2125  1 U 1.84
O  0.2464  0.2314  0.9130  1 U 1.85
O  0.9850  0.2314  0.4130  1 U 1.85
O  0.3582  0.7814  0.2875  1 U 1.84
U  0.5641  0.7823  0.1908  2 O 1.84-1.85
U  0.2182  0.7823  0.6908  2 O 1.84-1.85
U  0.4359  0.2177  0.8092  2 O 1.84-1.85
U  0.7818  0.2177  0.3092  2 O 1.84-1.85
F  0.4238  0.4259  0.8070  1 U 2.31, 2 K 2.51-2.52
F  0.0021  0.4259  0.3070  1 U 2.31, 2 K 2.51-2.52
F  0.9871  0.2041  0.1705  1 U 2.27
F  0.4402  0.8959  0.0967  1 U 2.23
F  0.4557  0.8959  0.5967  1 U 2.23
F  0.7830  0.7959  0.3295  1 U 2.27
F  0.5598  0.1041  0.9033  1 U 2.23
F  0.7696  0.0000  0.2500  2 U 2.33
F  0.3635  0.6293  0.5811  1 U 2.39, 1 K 2.46
F  0.6365  0.3707  0.4189  1 U 2.39, 1 K 2.46
F  0.2170  0.2041  0.6705  1 U 2.27
F  0.9979  0.5741  0.6930  1 U 2.31, 2 K 2.51-2.52
F  0.5762  0.5741  0.1930  1 U 2.31, 2 K 2.51-2.52
F  0.2304  0.0000  0.7500  2 U 2.33
F  0.5443  0.1041  0.4033  1 U 2.23
F  0.0129  0.7959  0.8295  1 U 2.27
F  0.2658  0.6293  0.0811  1 U 2.39, 1 K 2.46
F  0.7342  0.3707  0.9189  1 U 2.39, 1 K 2.46

=====

6.
Material: Ba2LiTbIrO6
Method: DFT, GGA-PBE
State: relaxed

Properties
M_tot = 1.00 μB per formula unit

Cell: 5.8970 5.8921 6.3502 Å, 62.36 62.39 60.03°
Closest atoms and distances in Å follow each position.
Fractional positions:
O  0.7710  0.2466  0.2109  1 Ir 2.02, 1 Tb 2.16
O  0.2482  0.2466  0.7523  1 Li 1.89, 1 Ir 2.10
O  0.7710  0.7715  0.2109  1 Ir 2.02, 1 Tb 2.16
O  0.2482  0.7528  0.7523  1 Li 1.89, 1 Ir 2.10
O  0.2454  0.7710  0.2126  1 Ir 2.02, 1 Tb 2.16
O  0.7556  0.2469  0.7505  1 Li 1.89, 1 Ir 2.10
Ir  0.0048  0.0040  0.9872  6 O 2.02-2.10
Li  0.3705  0.3673  0.8949  3 O 1.89
Ba  0.2089  0.2090  0.3732  1 Li 2.57, 3 O 2.63-2.64
Ba  0.7405  0.7387  0.7822  9 O 2.91-2.95
Tb  0.5212  0.5206  0.4376  6 O 2.16-2.41

=====

7.
Material: CuTeSeCl
Method: DFT, GGA-PBE
State: relaxed

Properties
M_tot = 0.00 μB per formula unit

Cell: 5.0423 8.0250 12.1171 Å, 63.49 90.00 90.00°
Closest atoms and distances in Å follow each position.
Fractional positions:
Te  0.4862  0.2797  0.8580  2 Se 2.53-2.68, 1 Cu 2.54
Te  0.5138  0.7203  0.1420  2 Se 2.53-2.68, 1 Cu 2.54
Te  0.9862  0.7203  0.6420  2 Se 2.53-2.68, 1 Cu 2.54
Te  0.0138  0.2797  0.3580  2 Se 2.53-2.68, 1 Cu 2.54
Cu  0.3672  0.1791  0.2512  2 Cl 2.33-2.39, 1 Se 2.40, 1 Te 2.54
Cu  0.6328  0.8209  0.7488  2 Cl 2.33-2.39, 1 Se 2.40, 1 Te 2.54
Cu  0.1328  0.1791  0.7512  2 Cl 2.33-2.39, 1 Se 2.40, 1 Te 2.54
Cu  0.8672  0.8209  0.2488  2 Cl 2.33-2.39, 1 Se 2.40, 1 Te 2.54
Cl  0.3569  0.0781  0.6244  2 Cu 2.33-2.39
Cl  0.8569  0.9219  0.8756  2 Cu 2.33-2.39
Cl  0.6431  0.9219  0.3756  2 Cu 2.33-2.39
Cl  0.1431  0.0781  0.1244  2 Cu 2.33-2.39
Se  0.6984  0.4164  0.1589  1 Cu 2.40, 2 Te 2.53-2.68
Se  0.8016  0.4164  0.6589  1 Cu 2.40, 2 Te 2.53-2.68
Se  0.3016  0.5836  0.8411  1 Cu 2.40, 2 Te 2.53-2.68
Se  0.1984  0.5836  0.3411  1 Cu 2.40, 2 Te 2.53-2.68

=====

8.
Material: Tb5Te9
Method: DFT, GGA-PBE
State: relaxed

Cell: 9.6659 9.6659 18.1197 Å, 90.00 90.00 90.00°
Closest atoms and distances in Å follow each position.
Fractional positions:
Te  0.2019  0.1010  0.9362  5 Tb 3.13-3.29
Te  0.7921  0.3829  0.7511  3 Te 3.04-3.33, 4 Tb 3.15-3.28
Te  0.0832  0.3755  0.2605  1 Te 2.90, 2 Tb 3.15-3.17
Te  0.7163  0.1330  0.2494  2 Te 3.03-3.30, 4 Tb 3.14-3.36
Te  0.7994  0.9001  0.4350  5 Tb 3.13-3.25
Te  0.6037  0.3007  0.4333  5 Tb 3.13-3.26
Te  0.0000  0.5000  0.9306  5 Tb 3.16-3.18
Te  0.5000  0.5000  0.2488  2 Te 3.04, 4 Tb 3.20-3.32
Te  0.2983  0.4014  0.0635  5 Tb 3.13-3.26
Te  0.5000  0.0000  0.5522  5 Tb 3.21-3.25
Te  0.6171  0.7921  0.2489  3 Te 3.04-3.33, 4 Tb 3.15-3.28
Te  0.3963  0.6993  0.4333  5 Tb 3.13-3.26
Te  0.5000  0.5000  0.7512  2 Te 3.04, 4 Tb 3.20-3.32
Te  0.7017  0.5986  0.0635  5 Tb 3.13-3.26
Te  0.6245  0.0832  0.7395  1 Te 2.90, 2 Tb 3.15-3.17
Te  0.2837  0.8670  0.2494  2 Te 3.03-3.30, 4 Tb 3.14-3.36
Te  0.3829  0.2079  0.2489  3 Te 3.04-3.33, 4 Tb 3.15-3.28
Te  0.0999  0.7994  0.5650  5 Tb 3.13-3.25
Te  0.5986  0.2983  0.9365  5 Tb 3.13-3.26
Te  0.2079  0.6171  0.7511  3 Te 3.04-3.33, 4 Tb 3.15-3.28
Te  0.1010  0.7981  0.0638  5 Tb 3.13-3.29
Te  0.0000  0.5000  0.4478  5 Tb 3.21-3.25
Te  0.0000  0.0000  0.2474  2 Te 3.03, 4 Tb 3.17-3.30
Te  0.3007  0.3963  0.5667  5 Tb 3.13-3.26
Te  0.0000  0.0000  0.7526  2 Te 3.03, 4 Tb 3.17-3.30
Te  0.4014  0.7017  0.9365  5 Tb 3.13-3.26
Te  0.8670  0.7163  0.7506  2 Te 3.03-3.30, 4 Tb 3.14-3.36
Te  0.9168  0.6245  0.2605  1 Te 2.90, 2 Tb 3.15-3.17
Te  0.2006  0.0999  0.4350  5 Tb 3.13-3.25
Te  0.6993  0.6037  0.5667  5 Tb 3.13-3.26
Te  0.5000  0.0000  0.0694  5 Tb 3.16-3.18
Te  0.1330  0.2837  0.7506  2 Te 3.03-3.30, 4 Tb 3.14-3.36
Te  0.9001  0.2006  0.5650  5 Tb 3.13-3.25
Te  0.8990  0.2019  0.0638  5 Tb 3.13-3.29
Te  0.7981  0.8990  0.9362  5 Tb 3.13-3.29
Te  0.3755  0.9168  0.7395  1 Te 2.90, 2 Tb 3.15-3.17
Tb  0.5000  0.0000  0.3729  9 Te 3.22-3.32
Tb  0.0000  0.5000  0.6271  9 Te 3.22-3.32
Tb  0.7971  0.9081  0.6144  8 Te 3.13-3.30
Tb  0.6983  0.5943  0.8837  8 Te 3.14-3.28
Tb  0.4007  0.6982  0.6113  8 Te 3.13-3.32
Tb  0.2029  0.0919  0.6144  8 Te 3.13-3.30
Tb  0.5943  0.3017  0.1163  8 Te 3.14-3.28
Tb  0.9036  0.1989  0.8821  8 Te 3.15-3.36
Tb  0.3017  0.4057  0.8837  8 Te 3.14-3.28
Tb  0.0964  0.8011  0.8821  8 Te 3.15-3.36
Tb  0.5993  0.3018  0.6113  8 Te 3.13-3.32
Tb  0.5000  0.0000  0.8950  7 Te 3.13-3.17
Tb  0.0000  0.5000  0.1050  7 Te 3.13-3.17
Tb  0.4057  0.6983  0.1163  8 Te 3.14-3.28
Tb  0.6982  0.5993  0.3887  8 Te 3.13-3.32
Tb  0.8011  0.9036  0.1179  8 Te 3.15-3.36
Tb  0.1989  0.0964  0.1179  8 Te 3.15-3.36
Tb  0.9081  0.2029  0.3856  8 Te 3.13-3.30
Tb  0.3018  0.4007  0.3887  8 Te 3.13-3.32
Tb  0.0919  0.7971  0.3856  8 Te 3.13-3.30

=====

Number 1: final energy -199.02 eV per cell, mass density 1.57 g/cm³, E_form -147 kJ/mol of formula units. Number 2: final energy -39.05 eV per cell, mass density 2.80 g/cm³, E_form -2177 kJ/mol of formula units. Number 3: final energy -202.14 eV per cell, mass density 4.82 g/cm³, E_form -596 kJ/mol of formula units. Number 4: final energy -18.70 eV per cell, mass density 12.70 g/cm³, E_form -224 kJ/mol of formula units. Number 5: final energy -250.59 eV per cell, mass density 3.46 g/cm³, E_form -6469 kJ/mol of formula units. Number 6: final energy -72.10 eV per cell, mass density 7.50 g/cm³, E_form -2635 kJ/mol of formula units. Number 7: final energy -55.09 eV per cell, mass density 4.63 g/cm³, E_form -174 kJ/mol of formula units. Number 8: final energy -277.35 eV per cell, mass density 7.62 g/cm³, E_form -2091 kJ/mol of formula units.